(1)
Computed, not measured: a relaxed RbGaS2 crystal at the r2SCAN level of DFT.

a = 7.4530 Å, b = 7.4530 Å, c = 15.5042 Å
α = 96.93°, β = 96.93°, γ = 90.00°
With the nearest neighbours (Å) after each atom.
Fractional positions:
Rb 0.1509 0.7761 0.6060  8 S 3.35-3.75, 2 Rb 3.72-3.74
Rb 0.2239 0.3477 0.8942  7 S 3.35-3.75, 2 Rb 3.72-3.74
Rb 0.2239 0.8491 0.8940  8 S 3.35-3.75, 2 Rb 3.72-3.74
Rb 0.3477 0.2239 0.3942  7 S 3.35-3.75, 2 Rb 3.72-3.74
Rb 0.6523 0.7761 0.6058  7 S 3.35-3.75, 2 Rb 3.72-3.74
Rb 0.7761 0.1509 0.1060  8 S 3.35-3.75, 2 Rb 3.72-3.74
Rb 0.7761 0.6523 0.1058  7 S 3.35-3.75, 2 Rb 3.72-3.74
Rb 0.8491 0.2239 0.3940  8 S 3.35-3.75, 2 Rb 3.72-3.74
Ga 0.0866 0.7081 0.3323  4 S 2.27-2.31
Ga 0.2920 0.4206 0.1675  4 S 2.27-2.31
Ga 0.2919 0.9134 0.1677  4 S 2.27-2.31
Ga 0.4206 0.2920 0.6675  4 S 2.27-2.31
Ga 0.5794 0.7080 0.3325  4 S 2.27-2.31
Ga 0.7081 0.0866 0.8323  4 S 2.27-2.31
Ga 0.7080 0.5794 0.8325  4 S 2.27-2.31
Ga 0.9134 0.2919 0.6677  4 S 2.27-2.31
S 0.0585 0.4340 0.2496  2 Ga 2.27
S 0.0586 0.9414 0.2500  2 Ga 2.27
S 0.1448 0.2702 0.5803  2 Ga 2.31
S 0.2692 0.6444 0.0764  2 Ga 2.30-2.31
S 0.2702 0.1448 0.0803  2 Ga 2.31
S 0.3556 0.7308 0.4236  2 Ga 2.30-2.31
S 0.4340 0.0585 0.7496  2 Ga 2.27
S 0.4338 0.5662 0.7500  2 Ga 2.27
S 0.5662 0.4338 0.2500  2 Ga 2.27
S 0.5660 0.9415 0.2504  2 Ga 2.27
S 0.6444 0.2692 0.5764  2 Ga 2.30-2.31
S 0.7298 0.8552 0.9197  2 Ga 2.31
S 0.7308 0.3556 0.9236  2 Ga 2.30-2.31
S 0.8552 0.7298 0.4197  2 Ga 2.31
S 0.9414 0.0586 0.7500  2 Ga 2.27
S 0.9415 0.5660 0.7504  2 Ga 2.27

* symmetry: No. 15
* energy: -11.592 eV/atom
* ΔH_f (0 K): -1231 meV/atom

=====

(2)
Computed, not measured: a relaxed Ti2S3 crystal at the r2SCAN level of DFT.

a = 5.9453 Å, b = 5.9453 Å, c = 6.0374 Å
α = 99.46°, β = 99.46°, γ = 119.92°
With the nearest neighbours (Å) after each atom.
Fractional positions:
Ti 0.0000 0.0000 0.0000  6 S 2.43-2.46
Ti 0.1730 0.8270 0.5000  6 S 2.41-2.48
Ti 0.5000 0.5000 0.5000  6 S 2.43-2.46
Ti 0.8270 0.1730 0.5000  6 S 2.41-2.48
S 0.0823 0.4171 0.2442  4 Ti 2.41-2.47
S 0.2488 0.2488 0.7462  4 Ti 2.43-2.48
S 0.4171 0.0823 0.2442  4 Ti 2.41-2.47
S 0.5829 0.9177 0.7558  4 Ti 2.41-2.47
S 0.7512 0.7512 0.2538  4 Ti 2.43-2.48
S 0.9177 0.5829 0.7558  4 Ti 2.41-2.47

* symmetry: No. 12
* energy: -11.585 eV/atom
* ΔH_f (0 K): -1590 meV/atom

=====

(3)
Computed, not measured: a relaxed NbCl3O crystal at the r2SCAN level of DFT.

a = 11.2219 Å, b = 11.2219 Å, c = 3.9295 Å
α = 90.00°, β = 90.00°, γ = 90.00°
With the nearest neighbours (Å) after each atom.
Fractional positions:
Nb 0.1242 0.3758 0.2042  1 O 1.80
Nb 0.3758 0.8758 0.7958  1 O 1.80
Nb 0.6242 0.1242 0.7958  1 O 1.80
Nb 0.8758 0.6242 0.2042  1 O 1.80
Cl 0.1027 0.6027 0.2631  2 Nb 2.57
Cl 0.1037 0.1731 0.2537  1 Nb 2.29
Cl 0.1731 0.8963 0.7463  1 Nb 2.29
Cl 0.3269 0.3963 0.2537  1 Nb 2.29
Cl 0.3963 0.6731 0.7463  1 Nb 2.29
Cl 0.3973 0.1027 0.7369  2 Nb 2.57
Cl 0.6027 0.8973 0.7369  2 Nb 2.57
Cl 0.6037 0.3269 0.7463  1 Nb 2.29
Cl 0.6731 0.6037 0.2537  1 Nb 2.29
Cl 0.8269 0.1037 0.7463  1 Nb 2.29
Cl 0.8963 0.8269 0.2537  1 Nb 2.29
Cl 0.8973 0.3973 0.2631  2 Nb 2.57
O 0.1126 0.3874 0.7475  1 Nb 1.80
O 0.3874 0.8874 0.2525  1 Nb 1.80
O 0.6126 0.1126 0.2525  1 Nb 1.80
O 0.8874 0.6126 0.7475  1 Nb 1.80

* symmetry: No. 113
* energy: -11.611 eV/atom
* ΔH_f (0 K): -1778 meV/atom